[1]
Compound: AsBrKr2OF12
Source: Materials Project
Functional: GGA-PBE
Structure: optimized geometry

The structure in CIF format:
```
data_AsBrKr2OF12
_space_group_name_H-M_alt 'P 1 21/c 1'
_space_group_IT_number 14
_space_group_name_Hall '-P 2ybc'
_cell_length_a 6.015
_cell_length_b 14.108
_cell_length_c 15.736
_cell_angle_alpha 90.00
_cell_angle_beta 112.26
_cell_angle_gamma 90.00
loop_
_atom_site_label
_atom_site_type_symbol
_atom_site_fract_x
_atom_site_fract_y
_atom_site_fract_z
As1 As 0.211 0.232 0.206
Br1 Br 0.333 0.603 0.597
Kr1 Kr 0.198 0.543 0.198
Kr2 Kr 0.458 0.663 0.966
O1 O 0.264 0.533 0.512
F1 F 0.067 0.593 0.077
F2 F 0.072 0.676 0.348
F3 F 0.086 0.684 0.561
F4 F 0.099 0.198 0.774
F5 F 0.130 0.178 0.620
F6 F 0.205 0.545 0.669
F7 F 0.302 0.143 0.293
F8 F 0.332 0.010 0.825
F9 F 0.333 0.164 0.139
F10 F 0.405 0.545 0.903
F11 F 0.481 0.214 0.967
F12 F 0.499 0.711 0.740
```

***

[2]
Compound: RbGeSbO5
Source: Materials Project
Functional: GGA-PBE
Structure: optimized geometry

The structure in CIF format:
```
data_RbGeSbO5
_space_group_name_H-M_alt 'P n a 21'
_space_group_IT_number 33
_space_group_name_Hall 'P 2c -2n'
_cell_length_a 13.619
_cell_length_b 6.814
_cell_length_c 10.940
_cell_angle_alpha 90.00
_cell_angle_beta 90.00
_cell_angle_gamma 90.00
loop_
_atom_site_label
_atom_site_type_symbol
_atom_site_fract_x
_atom_site_fract_y
_atom_site_fract_z
Rb1 Rb 0.110 0.199 0.000
Rb2 Rb 0.114 0.778 0.755
Ge1 Ge 0.001 0.320 0.681
Ge2 Ge 0.180 0.009 0.432
Sb1 Sb 0.119 0.506 0.433
Sb2 Sb 0.246 0.756 0.179
O1 O 0.008 0.539 0.317
O2 O 0.015 0.494 0.563
O3 O 0.102 0.834 0.160
O4 O 0.103 0.213 0.399
O5 O 0.109 0.177 0.698
O6 O 0.109 0.801 0.471
O7 O 0.222 0.546 0.305
O8 O 0.224 0.468 0.558
O9 O 0.233 0.551 0.051
O10 O 0.238 0.459 0.809
```

***

Looking at formation enthalpy at 0 K for the records above, in order, we have -1.33; -2.10 eV per atom.